1.
The following is a DFT calculation (r²SCAN) of a relaxed CrCo3 crystal.

abc: 3.5425 3.5400 3.5375
angles: 90.00 90.00 90.00
Closest atoms and distances in Å follow each position.
Positions (direct):
Co: 0.0000 0.5000 0.5000  4 Cr 2.50, 8 Co 2.50
Cr: 0.0000 0.0000 0.0000  12 Co 2.50
Co: 0.5000 0.0000 0.5000  8 Co 2.50, 4 Cr 2.50
Co: 0.5000 0.5000 0.0000  8 Co 2.50, 4 Cr 2.50

Summary:
Relative energy among the computed polymorphs (meV per atom): 18

***

2.
The following is a DFT calculation (r²SCAN) of a relaxed Cr2CoO4 crystal.

abc: 5.9022 5.9022 5.9022
angles: 60.00 60.00 60.00
Closest atoms and distances in Å follow each position.
Positions (direct):
O: 0.2840 0.7387 0.7387  1 Co 1.97, 3 Cr 2.00
Cr: 0.5000 0.5000 0.0000  6 O 2.00
O: 0.2613 0.7160 0.2613  1 Co 1.97, 3 Cr 2.00
Cr: 0.0000 0.5000 0.5000  6 O 2.00
O: 0.7387 0.7387 0.7387  1 Co 1.97, 3 Cr 2.00
O: 0.2613 0.2613 0.7160  1 Co 1.97, 3 Cr 2.00
Cr: 0.5000 0.0000 0.5000  6 O 2.00
O: 0.7387 0.7387 0.2840  1 Co 1.97, 3 Cr 2.00
Cr: 0.5000 0.5000 0.5000  6 O 2.00
O: 0.2613 0.2613 0.2613  1 Co 1.97, 3 Cr 2.00
O: 0.7387 0.2840 0.7387  1 Co 1.97, 3 Cr 2.00
Co: 0.1250 0.1250 0.1250  4 O 1.97
O: 0.7160 0.2613 0.2613  1 Co 1.97, 3 Cr 2.00
Co: 0.8750 0.8750 0.8750  4 O 1.97

***

3.
The following is a DFT calculation (r²SCAN) of a relaxed Cr3Co3Sb2O16 crystal.

abc: 5.7026 5.6966 9.1200
angles: 89.19 89.78 120.15
Closest atoms and distances in Å follow each position.
Positions (direct):
O: 0.1710 0.8444 0.6047  1 Cr 1.87, 1 Co 1.95, 1 Sb 1.98
Co: 0.8283 0.6605 0.7146  6 O 1.85-1.95
Cr: 0.3318 0.1679 0.7093  6 O 1.87-1.95
O: 0.3317 0.1607 0.1050  2 Cr 1.88-2.01, 1 Sb 1.97
O: 0.1713 0.3369 0.6074  1 Cr 1.87, 1 Co 1.94, 1 Sb 1.98
O: 0.8374 0.1596 0.0995  1 Co 1.93, 1 Sb 1.94, 1 Cr 1.99
O: 0.9878 0.9933 0.8040  2 Co 1.85, 1 Cr 1.89
O: 0.4837 0.5181 0.3409  1 Co 1.90, 1 Cr 1.91, 1 Sb 2.03
Cr: 0.1580 0.8245 0.2058  6 O 1.86-1.97
Co: 0.8288 0.1718 0.7146  6 O 1.85-1.94
Co: 0.6531 0.8241 0.2110  6 O 1.87-1.94
O: 0.5182 0.4800 0.8359  1 Co 1.88, 1 Cr 1.95, 1 Sb 2.04
O: 0.6872 0.8487 0.5995  2 Co 1.93, 1 Sb 1.94
O: 0.9889 0.9960 0.3038  2 Cr 1.82-1.91, 1 Co 1.87
Sb: 0.3494 0.6818 0.4921  6 O 1.94-2.06
O: 0.4823 0.9642 0.3300  1 Co 1.89, 1 Cr 1.97, 1 Sb 2.01
Cr: 0.1664 0.3379 0.2234  6 O 1.82-2.01
O: 0.5156 0.0339 0.8343  1 Co 1.88, 1 Cr 1.94, 1 Sb 2.03
O: 0.9647 0.4829 0.8323  2 Co 1.88-1.89, 1 Sb 2.02
O: 0.6750 0.3414 0.6085  2 Co 1.86, 1 Cr 1.92
O: 0.3275 0.6555 0.1043  2 Cr 1.89-1.92, 1 Co 1.89
Sb: 0.6694 0.3274 0.9882  6 O 1.94-2.04
O: 0.0395 0.5229 0.3429  2 Cr 1.90-1.93, 1 Sb 2.06
O: 0.8331 0.6658 0.1037  1 Cr 1.86, 1 Co 1.94, 1 Sb 1.99

***

4.
The following is a DFT calculation (r²SCAN) of a relaxed Cs3CoF6 crystal.

abc: 6.5421 6.5421 6.5421
angles: 60.00 60.00 60.00
Closest atoms and distances in Å follow each position.
Positions (direct):
F: 0.8000 0.2000 0.8000  1 Co 1.85
F: 0.2000 0.2000 0.8000  1 Co 1.85
Cs: 0.5000 0.5000 0.5000  6 F 2.78
F: 0.8000 0.8000 0.2000  1 Co 1.85
F: 0.8000 0.2000 0.2000  1 Co 1.85
Co: 0.0000 0.0000 0.0000  6 F 1.85
Cs: 0.2500 0.2500 0.2500  12 F 3.30
F: 0.2000 0.8000 0.8000  1 Co 1.85
F: 0.2000 0.8000 0.2000  1 Co 1.85
Cs: 0.7500 0.7500 0.7500  12 F 3.30

***

5.
The following is a DFT calculation (r²SCAN) of a relaxed Cs4Co3F10 crystal.

abc: 7.8511 7.8511 13.8030
angles: 90.00 90.00 133.56
Closest atoms and distances in Å follow each position.
Positions (direct):
F: 0.2528 0.7472 0.1468  1 Co 1.93
F: 0.8846 0.6835 0.0365  2 Co 2.04-2.10
F: 0.1361 0.3639 0.7500  2 Co 2.06
F: 0.5264 0.4736 0.6460  2 Co 2.05-2.10
F: 0.1835 0.3846 0.5365  2 Co 2.04-2.10
Co: 0.1188 0.8812 0.1520  6 F 1.93-2.10
F: 0.0264 0.9736 0.8540  2 Co 2.05-2.10
Co: 0.5000 0.5000 0.5000  6 F 2.04-2.05
Co: 0.6188 0.3812 0.3480  6 F 1.93-2.10
F: 0.1154 0.3165 0.9635  2 Co 2.04-2.10
F: 0.8165 0.6154 0.4635  2 Co 2.04-2.10
F: 0.7528 0.2472 0.3532  1 Co 1.93
F: 0.3165 0.1154 0.0365  2 Co 2.04-2.10
F: 0.7472 0.2528 0.8532  1 Co 1.93
Co: 0.3812 0.6188 0.6520  6 F 1.93-2.10
F: 0.6154 0.8165 0.5365  2 Co 2.04-2.10
F: 0.8639 0.6361 0.2500  2 Co 2.06
Co: 0.8812 0.1188 0.8480  6 F 1.93-2.10
Co: 0.0000 0.0000 0.0000  6 F 2.04-2.05
F: 0.2472 0.7528 0.6468  1 Co 1.93
F: 0.6361 0.8639 0.7500  2 Co 2.06
Cs: 0.2441 0.7559 0.8885  10 F 3.03-3.34
F: 0.4736 0.5264 0.3540  2 Co 2.05-2.10
Cs: 0.5437 0.4563 0.8610  10 F 2.94-3.15
F: 0.9736 0.0264 0.1460  2 Co 2.05-2.10
Cs: 0.2559 0.7441 0.3885  10 F 3.03-3.34
F: 0.3846 0.1835 0.4635  2 Co 2.04-2.10
Cs: 0.4563 0.5437 0.1390  10 F 2.94-3.15
F: 0.6835 0.8846 0.9635  2 Co 2.04-2.10
Cs: 0.7559 0.2441 0.1115  10 F 3.03-3.34
Cs: 0.0437 0.9563 0.6390  10 F 2.94-3.15
Cs: 0.9563 0.0437 0.3610  10 F 2.94-3.15
F: 0.3639 0.1361 0.2500  2 Co 2.06
Cs: 0.7441 0.2559 0.6115  10 F 3.03-3.34

***

6.
The following is a DFT calculation (r²SCAN) of a relaxed Cs7Co4F15 crystal.

abc: 10.9159 7.8809 11.5504
angles: 87.43 90.00 90.00
Closest atoms and distances in Å follow each position.
Positions (direct):
F: 0.7624 0.8511 0.5577  1 Co 1.97
F: 0.8113 0.1738 0.1654  2 Co 2.08-2.12
F: 0.7376 0.8511 0.0577  1 Co 1.97
F: 0.2376 0.1489 0.4423  1 Co 1.97
Cs: 0.1809 0.4980 0.9717  8 F 2.93-3.09
Cs: 0.6809 0.5020 0.5283  8 F 2.93-3.09
F: 0.2518 0.5125 0.7213  1 Co 1.98
Cs: 0.6545 0.8383 0.8035  10 F 2.99-3.14
Cs: 0.5028 0.6718 0.1658  9 F 3.04-3.29
F: 0.7630 0.1704 0.4184  2 Co 2.04-2.09
Cs: 0.3191 0.4980 0.4717  8 F 2.93-3.09
F: 0.2630 0.8296 0.0816  2 Co 2.04-2.09
Cs: 0.9972 0.6718 0.6658  9 F 3.04-3.29
F: 0.7370 0.1704 0.9184  2 Co 2.04-2.09
Cs: 0.4972 0.3282 0.8342  9 F 3.04-3.29
F: 0.4747 0.6688 0.6426  1 Co 1.98
Co: 0.3292 0.7392 0.7304  6 F 1.98-2.12
Cs: 0.0000 0.0000 0.0000  10 F 3.04-3.29
Co: 0.8371 0.0765 0.5701  6 F 1.97-2.12
F: 0.7482 0.4875 0.2787  1 Co 1.98
F: 0.9095 0.3120 0.6043  2 Co 2.07-2.12
Cs: 0.3455 0.1617 0.1965  10 F 2.99-3.14
Cs: 0.5000 0.0000 0.5000  10 F 3.04-3.29
Cs: 0.0028 0.3282 0.3342  9 F 3.04-3.29
Co: 0.6708 0.2608 0.2696  6 F 1.98-2.12
F: 0.4095 0.6880 0.8957  2 Co 2.07-2.12
F: 0.9747 0.3312 0.8574  1 Co 1.98
F: 0.0905 0.6880 0.3957  2 Co 2.07-2.12
F: 0.5253 0.3312 0.3574  1 Co 1.98
Co: 0.6629 0.0765 0.0701  6 F 1.97-2.12
Cs: 0.8191 0.5020 0.0283  8 F 2.93-3.09
F: 0.2370 0.8296 0.5816  2 Co 2.04-2.09
F: 0.8996 0.0211 0.7410  2 Co 2.08-2.11
F: 0.3996 0.9789 0.7590  2 Co 2.08-2.11
F: 0.5000 0.0000 0.0000  2 Co 2.06
F: 0.5905 0.3120 0.1043  2 Co 2.07-2.12
F: 0.0000 0.0000 0.5000  2 Co 2.06
F: 0.2482 0.5125 0.2213  1 Co 1.98
F: 0.3113 0.8262 0.3346  2 Co 2.08-2.12
Co: 0.1708 0.7392 0.2304  6 F 1.98-2.12
F: 0.7518 0.4875 0.7787  1 Co 1.98
Co: 0.8292 0.2608 0.7696  6 F 1.98-2.12
F: 0.1004 0.9789 0.2590  2 Co 2.08-2.11
F: 0.6887 0.1738 0.6654  2 Co 2.08-2.12
F: 0.0253 0.6688 0.1426  1 Co 1.98
Cs: 0.8455 0.8383 0.3035  10 F 2.99-3.14
Co: 0.1629 0.9235 0.4299  6 F 1.97-2.12
Co: 0.3371 0.9235 0.9299  6 F 1.97-2.12
F: 0.2624 0.1489 0.9423  1 Co 1.97
F: 0.6004 0.0211 0.2410  2 Co 2.08-2.11
F: 0.1887 0.8262 0.8346  2 Co 2.08-2.12
Cs: 0.1545 0.1617 0.6965  10 F 2.99-3.14

***

7.
The following is a DFT calculation (r²SCAN) of a relaxed CsCoF3 crystal.

abc: 8.2516 8.2760 8.2760
angles: 43.90 43.98 43.98
Closest atoms and distances in Å follow each position.
Positions (direct):
F: 0.7286 0.2960 0.2960  2 Co 2.05-2.07
Cs: 0.0000 0.0000 0.0000  12 F 3.09-3.15
F: 0.5000 0.0000 0.5000  2 Co 2.05
F: 0.7013 0.7041 0.2718  2 Co 2.03-2.09
F: 0.7013 0.2718 0.7041  2 Co 2.03-2.09
Co: 0.6208 0.6222 0.6222  6 F 2.05-2.09
F: 0.2714 0.7040 0.7040  2 Co 2.05-2.07
Co: 0.5000 0.5000 0.5000  6 F 2.03-2.05
Co: 0.3792 0.3778 0.3778  6 F 2.05-2.09
F: 0.5000 0.5000 0.0000  2 Co 2.05
F: 0.2987 0.7282 0.2959  2 Co 2.03-2.09
Cs: 0.2148 0.2135 0.2135  12 F 3.10-3.22
F: 0.2987 0.2959 0.7282  2 Co 2.03-2.09
F: 0.0000 0.5000 0.5000  2 Co 2.05
Cs: 0.7852 0.7865 0.7865  12 F 3.10-3.22

***

8.
The following is a DFT calculation (r²SCAN) of a relaxed Cs2CoF6 crystal.

abc: 6.2527 6.2527 6.2516
angles: 60.18 60.18 60.21
Closest atoms and distances in Å follow each position.
Positions (direct):
F: 0.7966 0.2029 0.2027  1 Co 1.80
Cs: 0.2500 0.2500 0.2500  12 F 3.15-3.16
F: 0.2029 0.7966 0.2027  1 Co 1.80
F: 0.7972 0.7972 0.2034  1 Co 1.80
F: 0.2028 0.2028 0.7966  1 Co 1.80
F: 0.2034 0.7971 0.7973  1 Co 1.80
Co: 0.0000 0.0000 0.0000  6 F 1.80
F: 0.7971 0.2034 0.7973  1 Co 1.80
Cs: 0.7500 0.7500 0.7500  12 F 3.15-3.16

***

no.,formation energy (kcal/mol of atoms),total magnetization (μB/f.u.)
1,3.58,0.8
2,-48.41,9.0
3,-36.38,5.0
4,-62.34,0.0
5,-60.05,9.0
6,-61.06,12.0
7,-59.03,3.0
8,-58.36,1.0